1.
Here is a geometry-optimized V6O5F19 structure from the Materials Project database. Energies are from PBE+U.

Computed properties:
Its crystal system is triclinic. The value obtained for the total energy is -5.837 eV per atom. As for the formation energy: -62.96 kcal/mol of atoms.

```
data_V6O5F19
_cell_length_a 5.383
_cell_length_b 5.587
_cell_length_c 14.941
_cell_angle_alpha 79.46
_cell_angle_beta 89.60
_cell_angle_gamma 86.40
_symmetry_space_group_name_H-M 'P 1'
_symmetry_Int_Tables_number 1
_symmetry_space_group_name_Hall 'P 1'
loop_
_atom_site_label
_atom_site_type_symbol
_atom_site_fract_x
_atom_site_fract_y
_atom_site_fract_z
V1 V 0.000 0.000 0.000
V2 V 0.000 0.334 0.332
V3 V 0.073 0.767 0.657
V4 V 0.494 0.509 0.993
V5 V 0.494 0.842 0.326
V6 V 0.556 0.227 0.665
O1 O 0.226 0.012 0.631
O2 O 0.277 0.336 0.978
O3 O 0.277 0.667 0.312
O4 O 0.818 0.112 0.346
O5 O 0.820 0.777 0.015
F1 F 0.114 0.669 0.775
F2 F 0.128 0.320 0.442
F3 F 0.128 0.992 0.110
F4 F 0.302 0.157 0.300
F5 F 0.304 0.824 0.969
F6 F 0.345 0.535 0.640
F7 F 0.427 0.151 0.775
F8 F 0.473 0.861 0.443
F9 F 0.475 0.522 0.111
F10 F 0.612 0.253 0.547
F11 F 0.625 0.922 0.216
F12 F 0.626 0.590 0.883
F13 F 0.749 0.908 0.685
F14 F 0.762 0.258 0.025
F15 F 0.765 0.595 0.358
F16 F 0.826 0.376 0.695
F17 F 0.941 0.718 0.554
F18 F 0.967 0.126 0.883
F19 F 0.971 0.464 0.215
```



2.
Here is a geometry-optimized V6O5F19 structure from the Materials Project database. Energies are from PBE+U.

Computed properties:
Its crystal system is triclinic. The value obtained for the total energy is -5.837 eV per atom. As for the formation energy: -62.96 kcal/mol of atoms.

```
data_V6O5F19
_cell_length_a 5.339
_cell_length_b 5.484
_cell_length_c 14.819
_cell_angle_alpha 100.60
_cell_angle_beta 90.03
_cell_angle_gamma 90.87
_symmetry_space_group_name_H-M 'P 1'
_symmetry_Int_Tables_number 1
_symmetry_space_group_name_Hall 'P 1'
loop_
_atom_site_label
_atom_site_type_symbol
_atom_site_fract_x
_atom_site_fract_y
_atom_site_fract_z
V1 V 0.000 0.000 0.000
V2 V 0.014 0.591 0.333
V3 V 0.098 0.271 0.657
V4 V 0.506 0.503 0.993
V5 V 0.531 0.116 0.329
V6 V 0.594 0.823 0.669
O1 O 0.325 0.069 0.639
O2 O 0.328 0.728 0.978
O3 O 0.771 0.192 0.015
O4 O 0.826 0.030 0.685
O5 O 0.834 0.361 0.353
F1 F 0.103 0.361 0.778
F2 F 0.132 0.719 0.443
F3 F 0.137 0.038 0.111
F4 F 0.246 0.917 0.306
F5 F 0.251 0.558 0.641
F6 F 0.255 0.234 0.967
F7 F 0.319 0.407 0.305
F8 F 0.441 0.872 0.777
F9 F 0.467 0.217 0.447
F10 F 0.469 0.497 0.112
F11 F 0.596 0.730 0.548
F12 F 0.632 0.404 0.882
F13 F 0.635 0.061 0.214
F14 F 0.743 0.844 0.355
F15 F 0.748 0.547 0.690
F16 F 0.813 0.709 0.025
F17 F 0.942 0.239 0.550
F18 F 0.961 0.583 0.215
F19 F 0.977 0.872 0.881
```



3.
Here is a geometry-optimized V6O11F structure from the Materials Project database. Energies are from PBE+U.

Computed properties:
Its crystal system is monoclinic. The value obtained for the total energy is -7.661 eV per atom. As for the formation energy: -58.00 kcal/mol of atoms.

```
data_V6O11F
_cell_length_a 8.891
_cell_length_b 6.406
_cell_length_c 7.231
_cell_angle_alpha 90.00
_cell_angle_beta 112.72
_cell_angle_gamma 90.00
_symmetry_space_group_name_H-M 'C 1 m 1'
_symmetry_Int_Tables_number 8
_symmetry_space_group_name_Hall 'C -2y'
loop_
_atom_site_label
_atom_site_type_symbol
_atom_site_fract_x
_atom_site_fract_y
_atom_site_fract_z
V1 V 0.000 0.000 0.000
V2 V 0.003 0.000 0.475
V3 V 0.165 0.500 0.158
V4 V 0.174 0.500 0.647
V5 V 0.331 0.000 0.320
V6 V 0.353 0.000 0.820
O1 O 0.001 0.297 0.491
O2 O 0.077 0.500 0.858
O3 O 0.178 0.199 0.163
O4 O 0.235 0.000 0.523
O5 O 0.267 0.500 0.457
O6 O 0.333 0.295 0.818
O7 O 0.397 0.500 0.192
O8 O 0.445 0.000 0.124
F1 F 0.106 0.000 0.789
```



4.
Here is a geometry-optimized V6O11F structure from the Materials Project database. Energies are from PBE+U.

Computed properties:
Its crystal system is monoclinic. The value obtained for the total energy is -7.663 eV per atom. As for the formation energy: -58.04 kcal/mol of atoms.

```
data_V6O11F
_cell_length_a 8.794
_cell_length_b 6.632
_cell_length_c 7.123
_cell_angle_alpha 90.00
_cell_angle_beta 112.78
_cell_angle_gamma 90.00
_symmetry_space_group_name_H-M 'C 1 2 1'
_symmetry_Int_Tables_number 5
_symmetry_space_group_name_Hall 'C 2y'
loop_
_atom_site_label
_atom_site_type_symbol
_atom_site_fract_x
_atom_site_fract_y
_atom_site_fract_z
V1 V 0.000 0.000 0.000
V2 V 0.000 0.022 0.500
V3 V 0.167 0.545 0.672
V4 V 0.180 0.545 0.182
O1 O 0.000 0.717 0.000
O2 O 0.065 0.524 0.371
O3 O 0.095 0.027 0.290
O4 O 0.173 0.823 0.671
O5 O 0.177 0.230 0.674
O6 O 0.229 0.022 0.029
F1 F 0.000 0.333 0.000
```